Entry 1:
Material: Nb8Si2Sb4Pd
Method: DFT, PBE
State: relaxed

Properties
The value obtained for the volume is 278.2 Å³/cell. As for the energy relative to the elements: -6.96 eV/f.u. The density is 8.314 g cm⁻³. Its total DFT energy (no corrections) is -8.02 eV/atom. As for the space group: I-42m, No. 121.

Cell and atoms, written as POSCAR:
```
Nb8Si2Sb4Pd
1.0
-5.268 5.268 2.506
5.268 -5.268 2.506
5.268 5.268 -2.506
Nb Si Sb Pd
8 2 4 1
direct
0.049 0.675 0.213
0.164 0.951 0.625
0.325 0.538 0.375
0.462 0.836 0.787
0.538 0.325 0.375
0.675 0.049 0.213
0.836 0.462 0.787
0.951 0.164 0.625
0.000 0.500 0.500
0.500 0.000 0.500
0.124 0.428 0.000
0.428 0.124 0.000
0.572 0.572 0.696
0.876 0.876 0.304
0.000 0.000 0.000
```

Entry 2:
Material: Rb2BiAuI6
Method: DFT, PBE
State: relaxed

Properties
The value obtained for the volume is 447.3 Å³/cell. As for the energy relative to the elements: -9.72 eV/f.u. The density is 4.968 g cm⁻³. Its total DFT energy (no corrections) is -2.57 eV/atom. As for the space group: Fm-3m, No. 225. As for the MP2020-corrected energy: -2.799 eV/atom.

Cell and atoms, written as POSCAR:
```
Rb2BiAuI6
1.0
0.000 6.070 6.070
6.070 0.000 6.070
6.070 6.070 0.000
Rb Bi Au I
2 1 1 6
direct
0.250 0.250 0.250
0.750 0.750 0.750
0.000 0.000 0.000
0.500 0.500 0.500
0.255 0.255 0.745
0.255 0.745 0.255
0.255 0.745 0.745
0.745 0.255 0.255
0.745 0.255 0.745
0.745 0.745 0.255
```

Entry 3:
Material: Sr2SmSbO6
Method: DFT, PBE
State: relaxed

Properties
The value obtained for the volume is 297.1 Å³/cell. As for the energy relative to the elements: -30.59 eV/f.u. The density is 6.073 g cm⁻³. Its total DFT energy (no corrections) is -6.84 eV/atom. As for the space group: P2_1/c, No. 14. As for the MP2020-corrected energy: -7.250 eV/atom.

Cell and atoms, written as POSCAR:
```
Sr2SmSbO6
1.0
5.890 0.000 0.000
0.000 6.006 0.000
-5.845 0.000 8.399
Sr Sm Sb O
4 2 2 12
direct
0.239 0.043 0.249
0.239 0.457 0.749
0.761 0.543 0.251
0.761 0.957 0.751
0.500 0.000 0.000
0.500 0.500 0.500
0.000 0.000 0.500
0.000 0.500 0.000
0.139 0.224 0.951
0.139 0.276 0.451
0.230 0.692 0.955
0.230 0.808 0.455
0.320 0.029 0.732
0.320 0.471 0.232
0.680 0.529 0.768
0.680 0.971 0.268
0.770 0.192 0.545
0.770 0.308 0.045
0.861 0.724 0.549
0.861 0.776 0.049
```

Entry 4:
Material: Nd3I
Method: DFT, PBE
State: relaxed

Properties
The value obtained for the volume is 252.3 Å³/cell. As for the energy relative to the elements: -0.93 eV/f.u. The density is 7.368 g cm⁻³. Its total DFT energy (no corrections) is -4.10 eV/atom. As for the space group: P6_3/mmc, No. 194. As for the MP2020-corrected energy: -4.190 eV/atom.

Cell and atoms, written as POSCAR:
```
Nd3I
1.0
7.083 0.000 0.000
-3.542 6.134 0.000
0.000 0.000 5.805
Nd I
6 2
direct
0.167 0.333 0.250
0.167 0.833 0.250
0.333 0.167 0.750
0.667 0.833 0.250
0.833 0.167 0.750
0.833 0.667 0.750
0.333 0.667 0.750
0.667 0.333 0.250
```

Entry 5:
Material: Ba2NdTaO6
Method: DFT, PBE
State: relaxed

Properties
The value obtained for the volume is 164.5 Å³/cell. As for the energy relative to the elements: -34.82 eV/f.u. The density is 7.024 g cm⁻³. Its total DFT energy (no corrections) is -8.09 eV/atom. As for the space group: Fm-3m, No. 225. As for the MP2020-corrected energy: -8.497 eV/atom.

Cell and atoms, written as POSCAR:
```
Ba2NdTaO6
1.0
0.000 4.349 4.349
4.349 0.000 4.349
4.349 4.349 0.000
Ba Nd Ta O
2 1 1 6
direct
0.250 0.250 0.250
0.750 0.750 0.750
0.000 0.000 0.000
0.500 0.500 0.500
0.269 0.269 0.731
0.269 0.731 0.269
0.269 0.731 0.731
0.731 0.269 0.269
0.731 0.269 0.731
0.731 0.731 0.269
```

Entry 6:
Material: Cs2SbCl6
Method: DFT, PBE
State: relaxed

Properties
The value obtained for the volume is 309.1 Å³/cell. As for the energy relative to the elements: -16.04 eV/f.u. The density is 3.225 g cm⁻³. Its total DFT energy (no corrections) is -3.26 eV/atom. As for the space group: Fm-3m, No. 225. As for the MP2020-corrected energy: -3.673 eV/atom.

Cell and atoms, written as POSCAR:
```
Cs2SbCl6
1.0
0.000 5.366 5.366
5.366 0.000 5.366
5.366 5.366 0.000
Cs Sb Cl
2 1 6
direct
0.250 0.250 0.250
0.750 0.750 0.750
0.000 0.000 0.000
0.238 0.238 0.762
0.238 0.762 0.238
0.238 0.762 0.762
0.762 0.238 0.238
0.762 0.238 0.762
0.762 0.762 0.238
```

Entry 7:
Material: Ho4GaSbS9
Method: DFT, PBE
State: relaxed

Properties
The value obtained for the volume is 1314.7 Å³/cell. As for the energy relative to the elements: -27.50 eV/f.u. The density is 5.759 g cm⁻³. Its total DFT energy (no corrections) is -5.71 eV/atom. As for the space group: Aea2, No. 41. As for the MP2020-corrected energy: -6.015 eV/atom.

Cell and atoms, written as POSCAR:
```
Ho4GaSbS9
1.0
13.507 0.000 0.000
0.000 6.919 7.033
0.000 -6.919 7.033
Ho Ga Sb S
16 4 4 36
direct
0.101 0.171 0.829
0.104 0.560 0.338
0.183 0.883 0.552
0.188 0.881 0.100
0.312 0.381 0.600
0.317 0.383 0.052
0.396 0.060 0.838
0.399 0.671 0.329
0.601 0.329 0.671
0.604 0.838 0.060
0.683 0.052 0.383
0.688 0.600 0.381
0.812 0.100 0.881
0.817 0.552 0.883
0.896 0.338 0.560
0.899 0.829 0.171
0.091 0.622 0.833
0.409 0.122 0.333
0.591 0.333 0.122
0.909 0.833 0.622
0.113 0.178 0.341
0.387 0.678 0.841
0.613 0.841 0.678
0.887 0.341 0.178
0.000 0.009 0.009
0.000 0.634 0.634
0.012 0.017 0.625
0.069 0.827 0.320
0.082 0.347 0.157
0.099 0.346 0.524
0.191 0.430 0.831
0.197 0.805 0.828
0.245 0.618 0.152
0.248 0.127 0.012
0.252 0.627 0.512
0.255 0.118 0.652
0.303 0.305 0.328
0.309 0.930 0.331
0.401 0.846 0.024
0.418 0.847 0.657
0.431 0.327 0.820
0.488 0.517 0.125
0.500 0.134 0.134
0.500 0.509 0.509
0.512 0.125 0.517
0.569 0.820 0.327
0.582 0.657 0.847
0.599 0.024 0.846
0.691 0.331 0.930
0.697 0.328 0.305
0.745 0.652 0.118
0.748 0.512 0.627
0.752 0.012 0.127
0.755 0.152 0.618
0.803 0.828 0.805
0.809 0.831 0.430
0.901 0.524 0.346
0.918 0.157 0.347
0.931 0.320 0.827
0.988 0.625 0.017
```

Entry 8:
Material: YMg14B
Method: DFT, PBE
State: relaxed

Properties
The value obtained for the volume is 358.8 Å³/cell. As for the energy relative to the elements: 1.96 eV/f.u. The density is 2.036 g cm⁻³. Its total DFT energy (no corrections) is -2.10 eV/atom. As for the space group: Amm2, No. 38.

Cell and atoms, written as POSCAR:
```
YMg14B
1.0
10.228 0.000 0.000
0.000 3.002 5.843
0.000 -3.002 5.843
Y Mg B
1 14 1
direct
0.000 0.000 0.000
0.000 0.028 0.497
0.000 0.497 0.028
0.174 0.601 0.601
0.253 0.134 0.635
0.253 0.635 0.134
0.259 0.142 0.142
0.500 0.481 0.972
0.500 0.483 0.483
0.500 0.972 0.481
0.500 0.976 0.976
0.741 0.142 0.142
0.747 0.134 0.635
0.747 0.635 0.134
0.826 0.601 0.601
0.000 0.439 0.439
```

Entry 9:
Material: CaCu9Sn4
Method: DFT, PBE
State: relaxed

Properties
The value obtained for the volume is 468.3 Å³/cell. As for the energy relative to the elements: -1.58 eV/f.u. The density is 7.707 g cm⁻³. Its total DFT energy (no corrections) is -4.04 eV/atom. As for the space group: I4/mcm, No. 140.

Cell and atoms, written as POSCAR:
```
CaCu9Sn4
1.0
-4.335 4.335 6.230
4.335 -4.335 6.230
4.335 4.335 -6.230
Ca Cu Sn
2 18 8
direct
0.250 0.250 0.000
0.750 0.750 0.000
0.000 0.500 0.500
0.055 0.799 0.854
0.066 0.566 0.284
0.201 0.055 0.256
0.218 0.934 0.500
0.282 0.782 0.716
0.299 0.555 0.854
0.434 0.718 0.500
0.445 0.299 0.744
0.500 0.000 0.500
0.555 0.701 0.256
0.566 0.282 0.500
0.701 0.445 0.146
0.718 0.218 0.284
0.782 0.066 0.500
0.799 0.945 0.744
0.934 0.434 0.716
0.945 0.201 0.146
0.059 0.188 0.500
0.188 0.688 0.128
0.312 0.441 0.500
0.441 0.941 0.128
0.559 0.059 0.872
0.688 0.559 0.500
0.812 0.312 0.872
0.941 0.812 0.500
```

Entry 10:
Material: SiO2
Method: DFT, PBE
State: relaxed

Properties
The value obtained for the volume is 134.1 Å³/cell. As for the energy relative to the elements: -8.89 eV/f.u. The density is 2.975 g cm⁻³. Its total DFT energy (no corrections) is -7.61 eV/atom. For the largest piezoelectric modulus, the calculation gives 0.595 C/m². As for the space group: P1, No. 1. As for the MP2020-corrected energy: -8.071 eV/atom.

Cell and atoms, written as POSCAR:
```
SiO2
1.0
4.815 0.000 0.000
-1.256 4.693 0.000
-0.353 -0.167 5.936
Si O
4 8
direct
0.000 0.000 0.000
0.132 0.793 0.450
0.353 0.592 0.066
0.648 0.285 0.697
0.073 0.331 0.067
0.260 0.857 0.937
0.340 0.113 0.554
0.388 0.677 0.337
0.575 0.473 0.914
0.783 0.015 0.778
0.909 0.524 0.577
0.913 0.858 0.244
```

Entry 11:
Material: NaLiHo2F8
Method: DFT, PBE
State: relaxed

Properties
The value obtained for the volume is 307.0 Å³/cell. As for the energy relative to the elements: -48.31 eV/f.u. The density is 5.537 g cm⁻³. Its total DFT energy (no corrections) is -6.03 eV/atom. As for the space group: Cmcm, No. 63. As for the MP2020-corrected energy: -6.335 eV/atom.

Cell and atoms, written as POSCAR:
```
NaLiHo2F8
1.0
5.243 -4.158 0.000
5.243 4.158 0.000
0.000 0.000 7.040
Na Li Ho F
2 2 4 16
direct
0.157 0.843 0.750
0.843 0.157 0.250
0.500 0.500 0.000
0.500 0.500 0.500
0.050 0.576 0.250
0.424 0.950 0.250
0.576 0.050 0.750
0.950 0.424 0.750
0.109 0.891 0.250
0.160 0.566 0.551
0.160 0.566 0.949
0.195 0.246 0.250
0.246 0.195 0.750
0.414 0.586 0.250
0.434 0.840 0.551
0.434 0.840 0.949
0.566 0.160 0.051
0.566 0.160 0.449
0.586 0.414 0.750
0.754 0.805 0.250
0.805 0.754 0.750
0.840 0.434 0.051
0.840 0.434 0.449
0.891 0.109 0.750
```

Entry 12:
Material: YTlPd
Method: DFT, PBE
State: relaxed

Properties
The value obtained for the volume is 204.6 Å³/cell. As for the energy relative to the elements: -2.00 eV/f.u. The density is 9.730 g cm⁻³. Its total DFT energy (no corrections) is -5.34 eV/atom. As for the space group: P-62m, No. 189.

Cell and atoms, written as POSCAR:
```
YTlPd
1.0
7.893 0.000 0.000
-3.947 6.836 0.000
0.000 0.000 3.792
Y Tl Pd
3 3 3
direct
0.000 0.599 0.000
0.401 0.401 0.000
0.599 0.000 0.000
0.000 0.268 0.500
0.268 0.000 0.500
0.732 0.732 0.500
0.000 0.000 0.000
0.333 0.667 0.500
0.667 0.333 0.500
```